[1]
An optimized crystal structure of MnNiO3. Source: the Materials Project, functional PBE with a Hubbard U.

The structure in POSCAR format:
```
MnNiO3
1.0
2.491 1.438 4.597
-2.491 1.438 4.597
0.000 -2.877 4.597
Mn Ni O
2 2 6
direct
0.157 0.157 0.157 Mn
0.843 0.843 0.843 Mn
0.357 0.357 0.357 Ni
0.643 0.643 0.643 Ni
0.050 0.774 0.441 O
0.226 0.559 0.950 O
0.441 0.050 0.774 O
0.559 0.950 0.226 O
0.774 0.441 0.050 O
0.950 0.226 0.559 O
```

crystal system	trigonal
ΔH_f (0 K)	-1.62	eV/atom
density	5.43	g/cm³
space-group type	R-3

[2]
An optimized crystal structure of Ca4Ga3FeO10. Source: the Materials Project, functional PBE with a Hubbard U.

The structure in POSCAR format:
```
Ca4Ga3FeO10
1.0
5.668 0.000 0.000
0.000 5.444 0.000
-5.667 0.000 14.807
Ca Ga Fe O
8 6 2 20
direct
0.081 0.020 0.109 Ca
0.081 0.480 0.609 Ca
0.365 0.021 0.392 Ca
0.365 0.479 0.892 Ca
0.635 0.521 0.108 Ca
0.635 0.979 0.608 Ca
0.919 0.520 0.391 Ca
0.919 0.980 0.891 Ca
0.320 0.552 0.250 Ga
0.320 0.948 0.750 Ga
0.500 0.000 0.000 Ga
0.500 0.500 0.500 Ga
0.680 0.052 0.250 Ga
0.680 0.448 0.750 Ga
0.000 0.000 0.500 Fe
0.000 0.500 0.000 Fe
0.068 0.027 0.642 O
0.068 0.473 0.142 O
0.249 0.730 0.516 O
0.249 0.770 0.016 O
0.283 0.028 0.858 O
0.283 0.472 0.358 O
0.287 0.234 0.516 O
0.287 0.266 0.016 O
0.375 0.599 0.750 O
0.375 0.901 0.250 O
0.625 0.099 0.750 O
0.625 0.401 0.250 O
0.713 0.734 0.984 O
0.713 0.766 0.484 O
0.717 0.528 0.642 O
0.717 0.972 0.142 O
0.751 0.230 0.984 O
0.751 0.270 0.484 O
0.932 0.527 0.858 O
0.932 0.973 0.358 O
```

crystal system	monoclinic
ΔH_f (0 K)	-2.70	eV/atom
density	4.25	g/cm³
space-group type	P2_1/c

[3]
An optimized crystal structure of Li6Fe7O15. Source: the Materials Project, functional PBE with a Hubbard U.

The structure in POSCAR format:
```
Li6Fe7O15
1.0
7.682 -1.973 0.000
7.682 1.973 0.000
-1.854 0.000 8.789
Li Fe O
6 7 15
direct
0.000 0.000 0.000 Li
0.002 0.002 0.660 Li
0.205 0.205 0.402 Li
0.607 0.607 0.868 Li
0.805 0.805 0.601 Li
0.808 0.808 0.266 Li
0.209 0.209 0.062 Fe
0.210 0.210 0.741 Fe
0.402 0.402 0.460 Fe
0.405 0.405 0.135 Fe
0.407 0.407 0.802 Fe
0.597 0.597 0.525 Fe
0.600 0.600 0.204 Fe
0.112 0.112 0.183 O
0.112 0.112 0.553 O
0.123 0.123 0.871 O
0.307 0.307 0.935 O
0.309 0.309 0.617 O
0.311 0.311 0.258 O
0.496 0.496 0.647 O
0.498 0.498 0.008 O
0.504 0.504 0.327 O
0.685 0.685 0.394 O
0.695 0.695 0.085 O
0.696 0.696 0.712 O
0.894 0.894 0.466 O
0.904 0.904 0.135 O
0.915 0.915 0.798 O
```

crystal system	monoclinic
ΔH_f (0 K)	-1.29	eV/atom
density	4.19	g/cm³
excess energy over the best structure of this formula in the dataset	0.417	eV per atom
space-group type	Cm

[4]
An optimized crystal structure of Li2MnF4. Source: the Materials Project, functional PBE with a Hubbard U.

The structure in POSCAR format:
```
Li2MnF4
1.0
8.856 0.000 0.000
0.000 7.330 0.000
-8.575 0.000 15.553
Li Mn F
24 12 48
direct
0.018 0.176 0.421 Li
0.018 0.324 0.921 Li
0.034 0.743 0.920 Li
0.034 0.757 0.420 Li
0.312 0.748 0.235 Li
0.312 0.752 0.735 Li
0.323 0.193 0.246 Li
0.323 0.307 0.746 Li
0.342 0.653 0.409 Li
0.342 0.847 0.909 Li
0.344 0.249 0.909 Li
0.344 0.251 0.409 Li
0.656 0.749 0.591 Li
0.656 0.751 0.091 Li
0.658 0.153 0.091 Li
0.658 0.347 0.591 Li
0.677 0.693 0.254 Li
0.677 0.807 0.754 Li
0.688 0.248 0.265 Li
0.688 0.252 0.765 Li
0.966 0.243 0.580 Li
0.966 0.257 0.080 Li
0.982 0.676 0.079 Li
0.982 0.824 0.579 Li
0.006 0.526 0.745 Mn
0.006 0.974 0.245 Mn
0.321 0.038 0.088 Mn
0.321 0.462 0.588 Mn
0.342 0.037 0.580 Mn
0.342 0.463 0.080 Mn
0.658 0.537 0.920 Mn
0.658 0.963 0.420 Mn
0.679 0.538 0.412 Mn
0.679 0.962 0.912 Mn
0.994 0.026 0.755 Mn
0.994 0.474 0.255 Mn
0.097 0.216 0.702 F
0.097 0.284 0.202 F
0.103 0.211 0.854 F
0.103 0.289 0.354 F
0.123 0.243 0.037 F
0.123 0.257 0.537 F
0.170 0.530 0.949 F
0.170 0.970 0.449 F
0.176 0.705 0.291 F
0.176 0.795 0.791 F
0.217 0.610 0.132 F
0.217 0.890 0.632 F
0.225 0.599 0.472 F
0.225 0.901 0.972 F
0.229 0.529 0.675 F
0.229 0.971 0.175 F
0.409 0.074 0.354 F
0.409 0.426 0.854 F
0.429 0.054 0.870 F
0.429 0.446 0.370 F
0.436 0.247 0.529 F
0.436 0.253 0.029 F
0.446 0.241 0.689 F
0.446 0.259 0.189 F
0.554 0.741 0.811 F
0.554 0.759 0.311 F
0.564 0.747 0.971 F
0.564 0.753 0.471 F
0.571 0.554 0.630 F
0.571 0.946 0.130 F
0.591 0.574 0.146 F
0.591 0.926 0.646 F
0.771 0.029 0.825 F
0.771 0.471 0.325 F
0.775 0.099 0.028 F
0.775 0.401 0.528 F
0.783 0.110 0.368 F
0.783 0.390 0.868 F
0.824 0.205 0.209 F
0.824 0.295 0.709 F
0.830 0.030 0.551 F
0.830 0.470 0.051 F
0.877 0.743 0.463 F
0.877 0.757 0.963 F
0.897 0.711 0.646 F
0.897 0.789 0.146 F
0.903 0.716 0.798 F
0.903 0.784 0.298 F
```

crystal system	monoclinic
ΔH_f (0 K)	-2.99	eV/atom
density	2.86	g/cm³
excess energy over the best structure of this formula in the dataset	0.066	eV per atom
space-group type	P2_1/c

[5]
An optimized crystal structure of KLaFeWO6. Source: the Materials Project, functional PBE with a Hubbard U.

The structure in POSCAR format:
```
KLaFeWO6
1.0
0.000 3.999 3.999
3.999 0.000 3.999
3.999 3.999 0.000
K La Fe W O
1 1 1 1 6
direct
0.000 0.000 0.000 K
0.500 0.500 0.500 La
0.250 0.250 0.250 Fe
0.750 0.750 0.750 W
0.505 0.505 0.995 O
0.505 0.995 0.505 O
0.505 0.995 0.995 O
0.995 0.505 0.505 O
0.995 0.505 0.995 O
0.995 0.995 0.505 O
```

crystal system	cubic
ΔH_f (0 K)	-2.43	eV/atom
density	6.67	g/cm³
space-group type	F-43m

[6]
An optimized crystal structure of CrAuO2. Source: the Materials Project, functional PBE with a Hubbard U.

The structure in POSCAR format:
```
CrAuO2
1.0
3.075 0.000 0.000
-1.537 2.663 0.000
0.000 0.000 12.365
Cr Au O
2 2 4
direct
0.000 0.000 0.000 Cr
0.000 0.000 0.500 Cr
0.333 0.667 0.250 Au
0.667 0.333 0.750 Au
0.333 0.667 0.080 O
0.333 0.667 0.420 O
0.667 0.333 0.580 O
0.667 0.333 0.920 O
```

crystal system	hexagonal
ΔH_f (0 K)	-1.62	eV/atom
density	9.22	g/cm³
space-group type	P6_3/mmc

[7]
An optimized crystal structure of Li2NiPCO7. Source: the Materials Project, functional PBE with a Hubbard U.

The structure in POSCAR format:
```
Li2NiPCO7
1.0
5.013 0.000 0.000
0.000 6.343 0.000
-0.445 0.000 8.421
Li Ni P C O
4 2 2 2 14
direct
0.213 0.004 0.261 Li
0.213 0.496 0.261 Li
0.787 0.504 0.739 Li
0.787 0.996 0.739 Li
0.218 0.750 0.847 Ni
0.782 0.250 0.153 Ni
0.284 0.250 0.923 P
0.716 0.750 0.077 P
0.283 0.750 0.556 C
0.717 0.250 0.444 C
0.055 0.750 0.625 O
0.174 0.250 0.091 O
0.185 0.059 0.824 O
0.185 0.441 0.824 O
0.288 0.750 0.406 O
0.402 0.750 0.057 O
0.491 0.750 0.653 O
0.509 0.250 0.347 O
0.598 0.250 0.943 O
0.712 0.250 0.594 O
0.815 0.559 0.176 O
0.815 0.941 0.176 O
0.826 0.750 0.909 O
0.945 0.250 0.375 O
```

crystal system	monoclinic
ΔH_f (0 K)	-2.12	eV/atom
density	2.82	g/cm³
space-group type	P2_1/m

[8]
An optimized crystal structure of AlFeB2Pb2O8. Source: the Materials Project, functional PBE with a Hubbard U.

The structure in POSCAR format:
```
AlFeB2Pb2O8
1.0
5.954 0.000 0.000
0.000 7.115 0.000
-5.827 0.000 8.310
Al Fe B Pb O
2 2 4 4 16
direct
0.000 0.000 0.000 Al
0.000 0.500 0.500 Al
0.500 0.000 0.000 Fe
0.500 0.500 0.500 Fe
0.008 0.226 0.261 B
0.008 0.274 0.761 B
0.992 0.726 0.239 B
0.992 0.774 0.739 B
0.398 0.568 0.143 Pb
0.398 0.932 0.643 Pb
0.602 0.068 0.357 Pb
0.602 0.432 0.857 Pb
0.135 0.173 0.187 O
0.135 0.327 0.687 O
0.145 0.172 0.903 O
0.145 0.328 0.403 O
0.264 0.674 0.309 O
0.264 0.826 0.809 O
0.349 0.599 0.613 O
0.349 0.901 0.113 O
0.651 0.099 0.887 O
0.651 0.401 0.387 O
0.736 0.174 0.191 O
0.736 0.326 0.691 O
0.855 0.672 0.597 O
0.855 0.828 0.097 O
0.865 0.673 0.313 O
0.865 0.827 0.813 O
```

crystal system	monoclinic
ΔH_f (0 K)	-2.40	eV/atom
density	6.10	g/cm³
space-group type	P2_1/c

[9]
An optimized crystal structure of Li3CrNi4O8. Source: the Materials Project, functional PBE with a Hubbard U.

The structure in POSCAR format:
```
Li3CrNi4O8
1.0
5.083 -2.939 0.000
5.083 2.939 0.000
-3.424 0.000 4.807
Li Cr Ni O
3 1 4 8
direct
0.000 0.000 0.000 Li
0.000 0.500 0.000 Li
0.500 0.000 0.000 Li
0.500 0.500 0.500 Cr
0.000 0.000 0.500 Ni
0.000 0.500 0.500 Ni
0.500 0.000 0.500 Ni
0.500 0.500 0.000 Ni
0.250 0.250 0.723 O
0.262 0.738 0.261 O
0.262 0.738 0.739 O
0.269 0.269 0.279 O
0.731 0.731 0.721 O
0.738 0.262 0.261 O
0.738 0.262 0.739 O
0.750 0.750 0.277 O
```

crystal system	monoclinic
ΔH_f (0 K)	-1.66	eV/atom
density	5.04	g/cm³
space-group type	C2/m

[10]
An optimized crystal structure of Na3W4O6. Source: the Materials Project, functional PBE with a Hubbard U.

The structure in POSCAR format:
```
Na3W4O6
1.0
-3.684 3.939 3.884
3.684 -3.939 3.884
3.684 3.939 -3.884
Na W O
3 4 6
direct
0.000 0.000 0.000 Na
0.434 0.434 0.000 Na
0.921 0.421 0.500 Na
0.462 0.491 0.529 W
0.462 0.933 0.971 W
0.962 0.491 0.029 W
0.962 0.933 0.471 W
0.193 0.480 0.287 O
0.193 0.906 0.713 O
0.471 0.233 0.238 O
0.729 0.517 0.788 O
0.729 0.941 0.212 O
0.995 0.233 0.762 O
```

crystal system	orthorhombic
ΔH_f (0 K)	-0.85	eV/atom
density	6.63	g/cm³
space-group type	Imm2

[11]
An optimized crystal structure of MgFe2S2O10. Source: the Materials Project, functional PBE with a Hubbard U.

The structure in POSCAR format:
```
MgFe2S2O10
1.0
5.332 0.000 0.000
-0.472 5.565 0.000
-2.052 -2.256 6.280
Mg Fe S O
1 2 2 10
direct
0.000 0.000 0.000 Mg
0.218 0.579 0.693 Fe
0.256 0.634 0.220 Fe
0.559 0.228 0.949 S
0.888 0.991 0.456 S
0.056 0.941 0.311 O
0.142 0.687 0.952 O
0.308 0.544 0.455 O
0.361 0.258 0.067 O
0.490 0.352 0.787 O
0.567 0.951 0.857 O
0.610 0.873 0.318 O
0.839 0.337 0.099 O
0.905 0.268 0.549 O
0.983 0.883 0.630 O
```

crystal system	triclinic
ΔH_f (0 K)	-1.91	eV/atom
density	3.21	g/cm³
excess energy over the best structure of this formula in the dataset	0.016	eV per atom
space-group type	P1

[12]
An optimized crystal structure of MgV4O10. Source: the Materials Project, functional PBE with a Hubbard U.

The structure in POSCAR format:
```
MgV4O10
1.0
6.605 0.000 0.000
0.000 3.726 0.000
-0.043 0.000 7.377
Mg V O
1 4 10
direct
0.000 0.000 0.000 Mg
0.214 0.500 0.654 V
0.293 0.000 0.318 V
0.731 0.500 0.810 V
0.824 0.000 0.474 V
0.056 0.500 0.854 O
0.168 0.000 0.600 O
0.278 0.500 0.400 O
0.296 0.000 0.091 O
0.449 0.500 0.747 O
0.587 0.000 0.392 O
0.743 0.500 0.036 O
0.776 0.000 0.748 O
0.862 0.500 0.538 O
0.978 0.000 0.281 O
```

crystal system	monoclinic
ΔH_f (0 K)	-2.42	eV/atom
density	3.55	g/cm³
excess energy over the best structure of this formula in the dataset	0.071	eV per atom
space-group type	Pm